[1]
Li2CoP2O7, optimized geometry, DFT PBE+U; size of the total moment = 12.001 μB per cell; symmetry = P2_1/c; distance to the lowest polymorph of the same formula = 23 meV per atom; calculated volume = 11.31 A^3/atom; total energy = -0.489 Ry per atom; formation enthalpy at 0 K = -2495 meV/atom
1.0
5.0514 0.0000 0.0000
0.0000 8.5182 0.0000
0.0000 5.8112 12.6130
O P Co Li
28 8 4 8
direct
0.3681 0.9752 0.6166
0.8765 0.2716 0.9447
0.0926 0.8170 0.3586
0.2205 0.6651 0.2402
0.3765 0.7284 0.5553
0.2795 0.6651 0.7402
0.6319 0.0248 0.3834
0.3244 0.4936 0.9325
0.4366 0.1679 0.9025
0.9338 0.7031 0.8606
0.0634 0.1679 0.4025
0.0662 0.2969 0.1394
0.6756 0.5064 0.0675
0.8681 0.0248 0.8834
0.1319 0.9752 0.1166
0.4338 0.2969 0.6394
0.8244 0.5064 0.5675
0.7795 0.3349 0.7598
0.7205 0.3349 0.2598
0.9074 0.1830 0.6414
0.4074 0.8170 0.8586
0.9366 0.8321 0.5975
0.5926 0.1830 0.1414
0.1235 0.7284 0.0553
0.6235 0.2716 0.4447
0.5634 0.8321 0.0975
0.1756 0.4936 0.4325
0.5662 0.7031 0.3606
0.2356 0.8110 0.6196
0.2673 0.6733 0.3532
0.7644 0.1890 0.3804
0.7327 0.3267 0.6468
0.2327 0.6733 0.8532
0.2644 0.8110 0.1196
0.7356 0.1890 0.8804
0.7673 0.3267 0.1468
0.2598 0.2239 0.5220
0.7402 0.7761 0.4780
0.7598 0.7761 0.9780
0.2402 0.2239 0.0220
0.2190 0.5077 0.5767
0.2621 0.0457 0.3267
0.7190 0.4923 0.9233
0.2379 0.0457 0.8267
0.7810 0.4923 0.4233
0.7621 0.9543 0.1733
0.7379 0.9543 0.6733
0.2810 0.5077 0.0767


[2]
Li3CoP2O8, optimized geometry, DFT PBE+U; size of the total moment = 16.000 μB per cell; symmetry = P2_1; calculated volume = 12.16 A^3/atom; total energy = -0.475 Ry per atom; formation enthalpy at 0 K = -2459 meV/atom
1.0
-0.0719 -10.1843 -2.1075
8.1613 -0.1504 0.4484
1.6225 -1.6554 7.9438
P O Co Li
8 32 4 12
direct
0.4133 0.7220 0.2801
0.0956 0.2338 0.2925
0.8984 0.7632 0.2135
0.9133 0.2780 0.7199
0.5908 0.2901 0.2192
0.5956 0.7662 0.7075
0.3984 0.2368 0.7865
0.0908 0.7099 0.7808
0.3823 0.0773 0.9445
0.3300 0.1801 0.6365
0.6585 0.6099 0.6660
0.1718 0.1879 0.1437
0.6439 0.3491 0.3667
0.9541 0.2545 0.2467
0.4541 0.7455 0.7533
0.1439 0.6509 0.6333
0.9446 0.7632 0.7458
0.8300 0.8199 0.3635
0.6035 0.4229 0.0546
0.6718 0.8121 0.8563
0.9044 0.4250 0.5608
0.4446 0.2368 0.2542
0.0383 0.7260 0.2614
0.5383 0.2740 0.7386
0.6665 0.1263 0.1995
0.4044 0.5750 0.4392
0.3243 0.3834 0.8239
0.3572 0.8886 0.3165
0.8823 0.9227 0.0555
0.8453 0.3164 0.8688
0.1665 0.8737 0.8005
0.3453 0.6836 0.1312
0.1035 0.5771 0.9454
0.6186 0.9201 0.5517
0.8572 0.1114 0.6835
0.0612 0.2373 0.7610
0.1186 0.0799 0.4483
0.1585 0.3901 0.3340
0.8243 0.6166 0.1761
0.5612 0.7627 0.2390
0.1598 0.0922 0.6605
0.8394 0.9057 0.8377
0.6598 0.9078 0.3395
0.3394 0.0943 0.1623
0.8517 0.1684 0.0932
0.0791 0.5485 0.4651
0.1614 0.6086 0.1519
0.6528 0.6399 0.0842
0.3344 0.6024 0.6588
0.3415 0.3522 0.4051
0.3517 0.8316 0.9068
0.8344 0.3976 0.3412
0.8415 0.6478 0.5949
0.1528 0.3601 0.9158
0.6614 0.3914 0.8481
0.5791 0.4515 0.5349


[3]
Li2CoP2O7, optimized geometry, DFT PBE+U; size of the total moment = 0.000 μB per cell; symmetry = P1; distance to the lowest polymorph of the same formula = 1 meV per atom; calculated volume = 11.86 A^3/atom; total energy = -0.491 Ry per atom; formation enthalpy at 0 K = -2516 meV/atom
1.0
-2.1959 1.8245 4.1361
0.4355 10.8832 -1.6634
-7.9962 0.9059 -7.5627
Li O P Co
8 28 8 4
direct
0.8241 0.1482 0.4993
0.6477 0.2038 0.1167
0.6509 0.7033 0.6175
0.3498 0.3679 0.4532
0.3516 0.8670 0.9538
0.1761 0.2499 0.8975
0.1770 0.7495 0.3976
0.8237 0.6477 0.9989
0.0739 0.8942 0.7887
0.2003 0.2376 0.7253
0.5637 0.2156 0.5950
0.4342 0.3461 0.9638
0.3973 0.0377 0.2945
0.6162 0.3267 0.2252
0.0722 0.3958 0.2883
0.4381 0.8446 0.4655
0.9274 0.0389 0.1458
0.8001 0.8437 0.9506
0.1937 0.7016 0.5927
0.8000 0.4753 0.9867
0.6153 0.8273 0.7248
0.2207 0.5765 0.0828
0.6009 0.5432 0.2882
0.3970 0.5386 0.7926
0.8033 0.3431 0.4511
0.2210 0.0774 0.5831
0.2015 0.2008 0.0944
0.6050 0.0439 0.7874
0.9270 0.5374 0.6451
0.7807 0.8331 0.3276
0.3852 0.9742 0.0787
0.8012 0.9752 0.4881
0.7792 0.3329 0.8270
0.3843 0.4757 0.5766
0.1982 0.7376 0.2243
0.5642 0.7142 0.0955
0.2169 0.5611 0.6460
0.3878 0.1482 0.6665
0.2190 0.0607 0.1478
0.7823 0.8965 0.8108
0.3867 0.6474 0.1665
0.6117 0.4169 0.8971
0.6143 0.9163 0.3985
0.7819 0.3963 0.3111
0.1997 0.8919 0.6131
0.1967 0.3911 0.1137
0.8002 0.3630 0.6419
0.8003 0.8627 0.1414


[4]
Li2CoP2O7, optimized geometry, DFT PBE+U; size of the total moment = 24.000 μB per cell; symmetry = Pna2_1; distance to the lowest polymorph of the same formula = 43 meV per atom; calculated volume = 11.63 A^3/atom; total energy = -0.488 Ry per atom; formation enthalpy at 0 K = -2474 meV/atom
1.0
-2.1946 5.7819 4.3724
-1.0463 -6.0994 7.5404
14.3702 2.4486 3.9747
Co O Li P
8 56 16 16
direct
0.5401 0.0024 0.8821
0.0401 0.5024 0.6179
0.0083 0.0076 0.6374
0.5083 0.9924 0.3626
0.0083 0.4924 0.1374
0.0401 0.9976 0.1179
0.5083 0.5076 0.8626
0.5401 0.4976 0.3821
0.1321 0.3960 0.0407
0.0813 0.1156 0.8447
0.5813 0.6156 0.6553
0.2498 0.6282 0.6228
0.6321 0.6040 0.9593
0.3797 0.4091 0.6853
0.1321 0.1040 0.5407
0.7498 0.3718 0.3772
0.8920 0.8686 0.3019
0.8920 0.6314 0.8019
0.3701 0.8708 0.2800
0.2498 0.8718 0.1228
0.3574 0.3762 0.4361
0.5593 0.6095 0.4900
0.1848 0.8996 0.9243
0.3920 0.3686 0.1981
0.0593 0.3905 0.5100
0.4615 0.5788 0.1001
0.8797 0.5909 0.3147
0.1407 0.6245 0.9573
0.6407 0.1245 0.5427
0.4615 0.9212 0.6001
0.5128 0.5899 0.2658
0.5813 0.8844 0.1553
0.1848 0.6004 0.4243
0.8574 0.6238 0.5639
0.2941 0.4052 0.8957
0.3701 0.6292 0.7800
0.7498 0.1282 0.8772
0.0128 0.0899 0.2342
0.6407 0.3755 0.0427
0.5593 0.8905 0.9900
0.3920 0.1314 0.6981
0.8701 0.1292 0.7200
0.5128 0.9101 0.7658
0.7941 0.9052 0.6043
0.2032 0.5883 0.2020
0.0128 0.4101 0.7342
0.1407 0.8755 0.4573
0.6848 0.1004 0.0757
0.0593 0.1095 0.0100
0.7032 0.4117 0.7980
0.3574 0.1238 0.9361
0.7941 0.5948 0.1043
0.8797 0.9091 0.8147
0.7032 0.0883 0.2980
0.6848 0.3996 0.5757
0.2032 0.9117 0.7020
0.9615 0.4212 0.8999
0.8701 0.3708 0.2200
0.0813 0.3844 0.3447
0.2941 0.0948 0.3957
0.8574 0.8762 0.0639
0.6321 0.8960 0.4593
0.9615 0.0788 0.3999
0.3797 0.0909 0.1853
0.3000 0.7288 0.5104
0.8000 0.2288 0.9896
0.9017 0.7534 0.4488
0.1639 0.7753 0.8092
0.7417 0.7824 0.7388
0.4017 0.2466 0.5512
0.2417 0.2824 0.7612
0.6639 0.2247 0.1908
0.8000 0.2712 0.4896
0.2417 0.2176 0.2612
0.3000 0.7712 0.0104
0.7417 0.7176 0.2388
0.6639 0.2753 0.6908
0.4017 0.2534 0.0512
0.9017 0.7466 0.9488
0.1639 0.7247 0.3092
0.3847 0.9354 0.1874
0.8892 0.4756 0.8038
0.1748 0.4450 0.4343
0.8847 0.4354 0.3126
0.1748 0.0550 0.9343
0.6433 0.5317 0.0496
0.3892 0.9756 0.6962
0.1433 0.4683 0.9504
0.3892 0.5244 0.1962
0.6433 0.9683 0.5496
0.8892 0.0244 0.3038
0.6748 0.5550 0.5657
0.8847 0.0646 0.8126
0.3847 0.5646 0.6874
0.6748 0.9450 0.0657
0.1433 0.0317 0.4504


[5]
LiCoP2O7, optimized geometry, DFT PBE+U; size of the total moment = 8.000 μB per cell; symmetry = P2_1/c; distance to the lowest polymorph of the same formula = 38 meV per atom; calculated volume = 11.30 A^3/atom; total energy = -0.491 Ry per atom; formation enthalpy at 0 K = -2315 meV/atom
1.0
8.3327 0.0000 0.0000
0.0000 6.9767 0.0000
0.0000 3.3842 8.5521
Li Co O P
4 4 28 8
direct
0.5748 0.2066 0.9029
0.9252 0.2066 0.4029
0.0748 0.7934 0.5971
0.4252 0.7934 0.0971
0.4349 0.6933 0.6885
0.5651 0.3067 0.3115
0.0651 0.6933 0.1885
0.9349 0.3067 0.8115
0.0926 0.1254 0.8023
0.7824 0.3649 0.9495
0.0827 0.5092 0.8482
0.5827 0.4908 0.6518
0.2481 0.8814 0.2093
0.6131 0.9470 0.1220
0.9173 0.4908 0.1518
0.6911 0.7457 0.4058
0.3839 0.4826 0.8902
0.1131 0.0530 0.3780
0.8839 0.5174 0.6098
0.7519 0.1186 0.7907
0.9074 0.8746 0.1977
0.1911 0.2543 0.0942
0.1161 0.4826 0.3902
0.8869 0.9470 0.6220
0.8089 0.7457 0.9058
0.2824 0.6351 0.5505
0.7481 0.1186 0.2907
0.3869 0.0530 0.8780
0.2176 0.6351 0.0505
0.4173 0.5092 0.3482
0.2519 0.8814 0.7093
0.6161 0.5174 0.1098
0.4074 0.1254 0.3023
0.7176 0.3649 0.4495
0.5926 0.8746 0.6977
0.3089 0.2543 0.5942
0.7619 0.9309 0.7433
0.7823 0.5217 0.0328
0.2619 0.0691 0.7567
0.7381 0.9309 0.2433
0.7177 0.5217 0.5328
0.2177 0.4783 0.9672
0.2381 0.0691 0.2567
0.2823 0.4783 0.4672


[6]
Li3Co2P3O12, optimized geometry, DFT PBE+U; size of the total moment = 12.000 μB per cell; symmetry = C2; distance to the lowest polymorph of the same formula = 62 meV per atom; calculated volume = 11.27 A^3/atom; total energy = -0.477 Ry per atom; formation enthalpy at 0 K = -2282 meV/atom
1.0
4.3892 7.2657 0.0000
-4.3892 7.2657 0.0000
0.0000 4.5536 7.0706
O P Li Co
24 6 6 4
direct
0.7627 0.0632 0.1588
0.7337 0.5899 0.6890
0.2673 0.4208 0.7952
0.4945 0.7994 0.8780
0.5792 0.7327 0.2048
0.9050 0.5692 0.0093
0.4101 0.2663 0.3110
0.2411 0.9333 0.3443
0.3029 0.6179 0.2801
0.2006 0.5055 0.1220
0.0890 0.4323 0.4866
0.0667 0.7589 0.6557
0.9937 0.8821 0.9389
0.9368 0.2373 0.8412
0.8136 0.5128 0.3632
0.5677 0.9110 0.5134
0.1179 0.0063 0.0611
0.4872 0.1864 0.6368
0.4308 0.0950 0.9907
0.0136 0.1126 0.5638
0.6895 0.3865 0.2333
0.8874 0.9864 0.4362
0.6135 0.3105 0.7667
0.3821 0.6971 0.7199
0.5401 0.7495 0.7053
0.4498 0.2515 0.7996
0.0468 0.9532 0.5000
0.2505 0.4599 0.2947
0.9568 0.0432 0.0000
0.7485 0.5502 0.2004
0.4949 0.0072 0.2284
0.9928 0.5051 0.7716
0.2475 0.1555 0.5948
0.6527 0.3473 0.0000
0.8445 0.7525 0.4052
0.3500 0.6500 0.5000
0.8517 0.3522 0.6030
0.6478 0.1483 0.3970
0.1371 0.6469 0.8952
0.3531 0.8629 0.1048


[7]
LiCoP3O9, optimized geometry, DFT PBE+U; size of the total moment = 0.000 μB per cell; symmetry = P1; distance to the lowest polymorph of the same formula = 25 meV per atom; calculated volume = 11.52 A^3/atom; total energy = -0.508 Ry per atom; formation enthalpy at 0 K = -2479 meV/atom
1.0
6.5410 -0.0186 0.0550
0.3724 7.1857 -1.4689
0.0124 -0.0740 6.8753
O P Co Li
18 6 2 2
direct
0.8831 0.6557 0.2768
0.4499 0.1776 0.9438
0.7244 0.4101 0.0243
0.2877 0.6045 0.6138
0.1673 0.9305 0.1022
0.5505 0.8219 0.0561
0.0508 0.3194 0.1909
0.8246 0.0560 0.3725
0.9494 0.6808 0.8094
0.3273 0.7232 0.3194
0.5607 0.8411 0.6091
0.4379 0.1608 0.3917
0.7119 0.3965 0.3866
0.1175 0.3444 0.7235
0.6735 0.2762 0.6805
0.2759 0.5896 0.9758
0.1737 0.9446 0.6252
0.8329 0.0689 0.8983
0.3399 0.7847 0.1127
0.3474 0.7991 0.5548
0.8606 0.4478 0.2214
0.6608 0.2151 0.8873
0.6517 0.2017 0.4448
0.1399 0.5522 0.7791
0.1522 0.1400 0.9106
0.8494 0.8581 0.0885
0.1441 0.1694 0.4221
0.8551 0.8300 0.5788


[8]
LiCoP2O7, optimized geometry, DFT PBE+U; size of the total moment = 8.000 μB per cell; symmetry = P2_1/c; distance to the lowest polymorph of the same formula = 34 meV per atom; calculated volume = 12.29 A^3/atom; total energy = -0.491 Ry per atom; formation enthalpy at 0 K = -2319 meV/atom
1.0
-7.3625 -2.1426 1.9768
-0.6500 -2.0207 -4.6109
4.0007 -13.7878 -0.0438
O P Co Li
28 8 4 4
direct
0.2030 0.7703 0.0764
0.1370 0.7980 0.2576
0.6808 0.5881 0.5105
0.2970 0.7703 0.5764
0.7970 0.2297 0.9236
0.3918 0.8149 0.9332
0.8630 0.2020 0.7424
0.5847 0.0843 0.6021
0.3630 0.7980 0.7576
0.6082 0.1851 0.0668
0.3540 0.2070 0.1634
0.5359 0.7532 0.2203
0.3192 0.4119 0.4895
0.4641 0.2468 0.7797
0.6370 0.2020 0.2424
0.1808 0.4119 0.9895
0.0359 0.2468 0.2797
0.9641 0.7532 0.7203
0.1082 0.8149 0.4332
0.9153 0.0843 0.1021
0.4153 0.9157 0.3979
0.7030 0.2297 0.4236
0.8918 0.1851 0.5668
0.8192 0.5881 0.0105
0.8540 0.7930 0.3366
0.0847 0.9157 0.8979
0.1460 0.2070 0.6634
0.6460 0.7930 0.8366
0.2057 0.7207 0.9763
0.5328 0.0711 0.1792
0.4672 0.9289 0.8208
0.0328 0.9289 0.3208
0.2943 0.7207 0.4763
0.7943 0.2793 0.0237
0.7057 0.2793 0.5237
0.9672 0.0711 0.6792
0.6526 0.9132 0.3833
0.1526 0.0868 0.1167
0.8474 0.9132 0.8833
0.3474 0.0868 0.6167
0.2277 0.4882 0.7424
0.7277 0.5118 0.7576
0.2723 0.4882 0.2424
0.7723 0.5118 0.2576


calculated volume of number 7 (LiCoP3O9)? 11.52 A^3/atom


Which value of total energy does entry 2 give? -0.475 Ry per atom


Which value of formation enthalpy at 0 K does entry 3 give? -2516 meV/atom